[1]
The following is a DFT calculation (PBE-GGA) of Rb2ScTlF6 after structural relaxation. Values from VASP.

Symmetry: Fm-3m, No. 225
Total magnetization in μB per formula unit: 0.00
Formation enthalpy at 0 K in eV per atom: -3.33
E_tot in eV/atom: -5.264

```
&SYSTEM
  ibrav = 0, nat = 10, ntyp = 4
/
ATOMIC_SPECIES
Rb 85.47 Rb.upf
Sc 44.96 Sc.upf
Tl 204.38 Tl.upf
F 19.00 F.upf
CELL_PARAMETERS angstrom
0.000 4.700 4.700
4.700 0.000 4.700
4.700 4.700 0.000
ATOMIC_POSITIONS crystal
Rb 0.250 0.250 0.250
Rb 0.750 0.750 0.750
Sc 0.000 0.000 0.000
Tl 0.500 0.500 0.500
F 0.217 0.217 0.783
F 0.217 0.783 0.217
F 0.217 0.783 0.783
F 0.783 0.217 0.217
F 0.783 0.217 0.783
F 0.783 0.783 0.217
```

[2]
The following is a DFT calculation (PBE-GGA) of KScS2O8 after structural relaxation. Values from VASP.

Symmetry: P321, No. 150
Energy above the most stable polymorph in this dataset in meV/atom: 24
Total magnetization in μB per formula unit: 0.01
Formation enthalpy at 0 K in eV per atom: -2.49
E_tot in eV/atom: -6.637

```
&SYSTEM
  ibrav = 0, nat = 12, ntyp = 4
/
ATOMIC_SPECIES
K 39.10 K.upf
Sc 44.96 Sc.upf
S 32.06 S.upf
O 16.00 O.upf
CELL_PARAMETERS angstrom
5.041 0.000 0.000
-2.521 4.366 0.000
0.000 0.000 8.662
ATOMIC_POSITIONS crystal
K 0.000 0.000 0.000
Sc 0.000 0.000 0.500
S 0.333 0.667 0.713
S 0.667 0.333 0.287
O 0.099 0.360 0.653
O 0.262 0.901 0.653
O 0.333 0.667 0.882
O 0.360 0.099 0.347
O 0.640 0.738 0.653
O 0.667 0.333 0.118
O 0.738 0.640 0.347
O 0.901 0.262 0.347
```

[3]
The following is a DFT calculation (PBE-GGA) of Cd3B2O6 after structural relaxation. Values from VASP.

Symmetry: Pnnm, No. 58
Formation enthalpy at 0 K in eV per atom: -2.09
E_tot in eV/atom: -5.880

```
&SYSTEM
  ibrav = 0, nat = 22, ntyp = 3
/
ATOMIC_SPECIES
Cd 112.41 Cd.upf
B 10.81 B.upf
O 16.00 O.upf
CELL_PARAMETERS angstrom
4.842 0.000 0.000
0.000 6.099 0.000
0.000 0.000 9.176
ATOMIC_POSITIONS crystal
Cd 0.000 0.000 0.000
Cd 0.000 0.500 0.189
Cd 0.000 0.500 0.811
Cd 0.500 0.000 0.311
Cd 0.500 0.000 0.689
Cd 0.500 0.500 0.500
B 0.034 0.241 0.500
B 0.466 0.741 0.000
B 0.534 0.259 0.000
B 0.966 0.759 0.500
O 0.179 0.283 0.370
O 0.179 0.283 0.630
O 0.241 0.820 0.500
O 0.259 0.320 0.000
O 0.321 0.783 0.130
O 0.321 0.783 0.870
O 0.679 0.217 0.130
O 0.679 0.217 0.870
O 0.741 0.680 0.000
O 0.759 0.180 0.500
O 0.821 0.717 0.370
O 0.821 0.717 0.630
```

[4]
The following is a DFT calculation (PBE-GGA) of BaSrCe2O6 after structural relaxation. Values from VASP.

Symmetry: P2_1/m, No. 11
Energy above the most stable polymorph in this dataset in meV/atom: 0
Total magnetization in μB per formula unit: 0.00
Formation enthalpy at 0 K in eV per atom: -3.59
E_tot in eV/atom: -7.696

```
&SYSTEM
  ibrav = 0, nat = 20, ntyp = 4
/
ATOMIC_SPECIES
Ba 137.33 Ba.upf
Sr 87.62 Sr.upf
Ce 140.12 Ce.upf
O 16.00 O.upf
CELL_PARAMETERS angstrom
6.169 0.000 0.000
0.000 8.773 0.000
-0.015 0.000 6.249
ATOMIC_POSITIONS crystal
Ba 0.008 0.250 0.035
Ba 0.992 0.750 0.965
Sr 0.490 0.250 0.538
Sr 0.510 0.750 0.462
Ce 0.000 0.000 0.500
Ce 0.000 0.500 0.500
Ce 0.500 0.000 0.000
Ce 0.500 0.500 0.000
O 0.103 0.750 0.518
O 0.209 0.043 0.790
O 0.209 0.457 0.790
O 0.295 0.054 0.295
O 0.295 0.446 0.295
O 0.419 0.750 0.047
O 0.581 0.250 0.953
O 0.705 0.554 0.705
O 0.705 0.946 0.705
O 0.791 0.543 0.210
O 0.791 0.957 0.210
O 0.897 0.250 0.482
```

[5]
The following is a DFT calculation (PBE-GGA) of Na6Ta2In6Si5S7O48 after structural relaxation. Values from VASP.

Symmetry: P1, No. 1
Total magnetization in μB per formula unit: 0.00
Formation enthalpy at 0 K in eV per atom: -2.33
E_tot in eV/atom: -6.500

```
&SYSTEM
  ibrav = 0, nat = 222, ntyp = 6
/
ATOMIC_SPECIES
Na 22.99 Na.upf
Ta 180.95 Ta.upf
In 114.82 In.upf
Si 28.09 Si.upf
S 32.06 S.upf
O 16.00 O.upf
CELL_PARAMETERS angstrom
9.043 0.000 0.000
0.009 15.516 0.000
0.008 0.227 23.313
ATOMIC_POSITIONS crystal
Na 0.000 0.000 0.000
Na 0.000 0.003 0.510
Na 0.002 0.326 0.179
Na 0.185 0.150 0.925
Na 0.188 0.509 0.920
Na 0.313 0.009 0.432
Na 0.316 0.653 0.429
Na 0.495 0.839 0.670
Na 0.500 0.499 0.503
Na 0.504 0.834 0.179
Na 0.506 0.502 0.006
Na 0.508 0.170 0.333
Na 0.509 0.160 0.850
Na 0.633 0.328 0.922
Na 0.865 0.829 0.427
Na 0.990 0.664 0.356
Na 0.994 0.672 0.829
Na 0.996 0.330 0.677
Ta 0.008 0.004 0.165
Ta 0.010 0.333 0.323
Ta 0.017 0.999 0.654
Ta 0.488 0.836 0.819
Ta 0.492 0.504 0.666
Ta 0.497 0.498 0.158
In 0.007 0.997 0.864
In 0.010 0.001 0.357
In 0.012 0.327 0.021
In 0.017 0.329 0.824
In 0.483 0.831 0.326
In 0.485 0.833 0.525
In 0.489 0.500 0.856
In 0.493 0.498 0.367
In 0.501 0.166 0.201
In 0.504 0.831 0.030
In 0.508 0.153 0.987
In 0.510 0.160 0.688
In 0.515 0.163 0.503
In 0.980 0.673 0.996
In 0.990 0.655 0.489
In 0.990 0.667 0.191
In 0.997 0.331 0.531
In 0.998 0.667 0.700
Si 0.139 0.856 0.763
Si 0.145 0.474 0.430
Si 0.194 0.494 0.763
Si 0.196 0.835 0.428
Si 0.303 0.337 0.930
Si 0.305 0.993 0.263
Si 0.353 0.972 0.930
Si 0.357 0.357 0.263
Si 0.361 0.013 0.592
Si 0.640 0.689 0.425
Si 0.646 0.646 0.765
Si 0.699 0.668 0.096
Si 0.803 0.170 0.597
Si 0.854 0.147 0.265
Si 0.857 0.186 0.924
S 0.146 0.818 0.096
S 0.151 0.144 0.756
S 0.151 0.189 0.426
S 0.151 0.516 0.095
S 0.202 0.164 0.096
S 0.297 0.661 0.596
S 0.348 0.644 0.256
S 0.348 0.688 0.928
S 0.356 0.320 0.597
S 0.644 0.349 0.759
S 0.648 0.985 0.427
S 0.651 0.317 0.095
S 0.656 0.019 0.098
S 0.709 0.999 0.762
S 0.712 0.328 0.426
S 0.788 0.830 0.925
S 0.790 0.499 0.261
S 0.843 0.519 0.598
S 0.854 0.815 0.595
S 0.855 0.484 0.929
S 0.856 0.851 0.259
O 0.069 0.904 0.104
O 0.070 0.569 0.427
O 0.070 0.895 0.819
O 0.071 0.227 0.755
O 0.073 0.420 0.373
O 0.080 0.919 0.423
O 0.082 0.780 0.043
O 0.086 0.102 0.422
O 0.086 0.429 0.092
O 0.086 0.760 0.753
O 0.089 0.093 0.707
O 0.092 0.227 0.478
O 0.093 0.560 0.146
O 0.096 0.748 0.437
O 0.100 0.239 0.094
O 0.101 0.405 0.758
O 0.102 0.580 0.753
O 0.104 0.083 0.105
O 0.104 0.242 0.373
O 0.105 0.918 0.706
O 0.112 0.418 0.486
O 0.119 0.763 0.147
O 0.126 0.098 0.812
O 0.133 0.568 0.042
O 0.170 0.353 0.271
O 0.174 0.005 0.602
O 0.176 0.988 0.926
O 0.177 0.987 0.208
O 0.182 0.679 0.931
O 0.186 0.650 0.246
O 0.196 0.334 0.592
O 0.198 0.669 0.645
O 0.201 0.314 0.875
O 0.204 0.370 0.985
O 0.217 0.647 0.541
O 0.218 0.006 0.323
O 0.278 0.506 0.824
O 0.281 0.151 0.041
O 0.290 0.811 0.371
O 0.298 0.866 0.481
O 0.300 0.172 0.145
O 0.306 0.831 0.092
O 0.313 0.155 0.749
O 0.315 0.184 0.426
O 0.319 0.507 0.103
O 0.322 0.489 0.426
O 0.324 0.488 0.710
O 0.327 0.854 0.770
O 0.367 0.070 0.532
O 0.371 0.597 0.310
O 0.385 0.266 0.648
O 0.385 0.919 0.988
O 0.386 0.741 0.876
O 0.391 0.418 0.205
O 0.393 0.579 0.605
O 0.397 0.080 0.253
O 0.399 0.904 0.259
O 0.400 0.249 0.940
O 0.400 0.734 0.594
O 0.407 0.725 0.981
O 0.412 0.600 0.924
O 0.413 0.261 0.252
O 0.414 0.592 0.206
O 0.417 0.058 0.649
O 0.420 0.419 0.924
O 0.421 0.284 0.543
O 0.424 0.727 0.253
O 0.426 0.918 0.874
O 0.428 0.068 0.926
O 0.431 0.400 0.317
O 0.431 0.407 0.604
O 0.432 0.917 0.591
O 0.558 0.740 0.774
O 0.560 0.727 0.483
O 0.561 0.594 0.420
O 0.567 0.595 0.709
O 0.568 0.266 0.752
O 0.573 0.071 0.432
O 0.579 0.406 0.107
O 0.583 0.286 0.042
O 0.584 0.945 0.375
O 0.587 0.749 0.090
O 0.590 0.062 0.147
O 0.590 0.385 0.814
O 0.592 0.932 0.093
O 0.593 0.580 0.110
O 0.598 0.410 0.709
O 0.605 0.073 0.758
O 0.615 0.916 0.769
O 0.617 0.249 0.428
O 0.620 0.262 0.146
O 0.623 0.408 0.421
O 0.625 0.588 0.822
O 0.625 0.932 0.479
O 0.628 0.752 0.368
O 0.639 0.070 0.044
O 0.677 0.182 0.931
O 0.678 0.509 0.607
O 0.684 0.164 0.253
O 0.688 0.822 0.874
O 0.690 0.489 0.209
O 0.693 0.495 0.924
O 0.694 0.827 0.591
O 0.695 0.846 0.255
O 0.704 0.513 0.312
O 0.706 0.191 0.653
O 0.708 0.835 0.980
O 0.717 0.145 0.538
O 0.793 0.640 0.039
O 0.795 0.010 0.815
O 0.796 0.683 0.152
O 0.797 0.335 0.479
O 0.801 0.988 0.711
O 0.805 0.346 0.756
O 0.812 0.320 0.374
O 0.812 0.333 0.091
O 0.812 0.993 0.422
O 0.815 0.664 0.753
O 0.819 0.683 0.432
O 0.822 0.009 0.106
O 0.860 0.570 0.544
O 0.873 0.254 0.870
O 0.877 0.088 0.321
O 0.878 0.415 0.264
O 0.878 0.431 0.983
O 0.879 0.908 0.922
O 0.885 0.751 0.926
O 0.887 0.760 0.645
O 0.895 0.570 0.252
O 0.902 0.909 0.208
O 0.903 0.081 0.612
O 0.908 0.432 0.593
O 0.909 0.888 0.313
O 0.910 0.562 0.647
O 0.920 0.250 0.591
O 0.920 0.444 0.878
O 0.923 0.782 0.542
O 0.923 0.904 0.605
O 0.932 0.767 0.253
O 0.933 0.096 0.208
O 0.935 0.569 0.934
O 0.936 0.092 0.918
O 0.936 0.218 0.984
O 0.940 0.241 0.271
```

[6]
The following is a DFT calculation (PBE-GGA) of MgAl2H4Pb2O4F6 after structural relaxation. Values from VASP.

Symmetry: P1, No. 1
Energy above the most stable polymorph in this dataset in meV/atom: 11
Total magnetization in μB per formula unit: 0.00
Formation enthalpy at 0 K in eV per atom: -2.40
E_tot in eV/atom: -5.342

```
&SYSTEM
  ibrav = 0, nat = 19, ntyp = 6
/
ATOMIC_SPECIES
Mg 24.30 Mg.upf
Al 26.98 Al.upf
H 1.01 H.upf
Pb 207.20 Pb.upf
O 16.00 O.upf
F 19.00 F.upf
CELL_PARAMETERS angstrom
5.445 0.000 0.000
2.083 6.093 0.000
0.178 1.370 7.733
ATOMIC_POSITIONS crystal
Mg 0.000 0.000 0.000
Al 0.411 0.166 0.950
Al 0.654 0.795 0.249
H 0.259 0.795 0.407
H 0.482 0.748 0.983
H 0.616 0.228 0.218
H 0.718 0.150 0.712
Pb 0.095 0.309 0.461
Pb 0.667 0.609 0.686
O 0.408 0.844 0.425
O 0.413 0.860 0.058
O 0.634 0.107 0.153
O 0.709 0.071 0.829
F 0.110 0.238 0.073
F 0.203 0.121 0.785
F 0.352 0.455 0.859
F 0.691 0.499 0.275
F 0.904 0.756 0.425
F 0.936 0.731 0.110
```